(1)
# PBE-GGA Si5Rh4, optimized geometry
data_Si5Rh4
_cell_length_a 5.9883
_cell_length_b 3.5591
_cell_length_c 12.4487
_cell_angle_alpha 90.00
_cell_angle_beta 100.09
_cell_angle_gamma 90.00
_symmetry_space_group_name_H-M 'P 1 21/m 1'
_symmetry_Int_Tables_number 11
loop_
_symmetry_equiv_pos_as_xyz
'x,y,z'
'-x,-y,-z'
'-x,y+1/2,-z'
'x,-y+1/2,z'
loop_
_atom_site_label
_atom_site_fract_x
_atom_site_fract_y
_atom_site_fract_z
Si1 0.0130 0.2500 0.0774
Si2 0.0329 0.2500 0.7762
Si3 0.1385 0.7500 0.6354
Si4 0.3932 0.7500 0.4224
Si5 0.4799 0.2500 0.1398
Rh1 0.1999 0.2500 0.5000
Rh2 0.2147 0.2500 0.2698
Rh3 0.2909 0.2500 0.9499
Rh4 0.3923 0.2500 0.7267
# - DFT total energy (Ha/atom) = -0.2579
# - energy relative to the elements (eV per formula unit) = -6.59

(2)
# PBE-GGA InHg7S6Cl5, optimized geometry
data_InHg7S6Cl5
_cell_length_a 7.5890
_cell_length_b 10.7770
_cell_length_c 14.0877
_cell_angle_alpha 109.70
_cell_angle_beta 105.46
_cell_angle_gamma 92.85
_symmetry_space_group_name_H-M 'P -1'
_symmetry_Int_Tables_number 2
loop_
_symmetry_equiv_pos_as_xyz
'x,y,z'
'-x,-y,-z'
loop_
_atom_site_label
_atom_site_fract_x
_atom_site_fract_y
_atom_site_fract_z
In1 0.1139 0.3606 0.1766
Hg1 0.0000 0.5000 0.5000
Hg2 0.0167 0.8860 0.1600
Hg3 0.2160 0.8619 0.4399
Hg4 0.2806 0.6186 0.0652
Hg5 0.3076 0.2029 0.4384
Hg6 0.3735 0.4574 0.7273
Hg7 0.3764 0.9563 0.7273
Hg8 0.5000 0.0000 0.0000
S1 0.0454 0.9953 0.3503
S2 0.1285 0.7843 0.0095
S3 0.1348 0.3346 0.5633
S4 0.3627 0.1187 0.8899
S5 0.3725 0.7707 0.5710
S6 0.3940 0.4314 0.1050
Cl1 0.0242 0.4274 0.8270
Cl2 0.1384 0.7054 0.7527
Cl3 0.2486 0.1435 0.1645
Cl4 0.3191 0.4699 0.3634
Cl5 0.4886 0.8227 0.3321
# - DFT total energy (Ha/atom) = -0.0911
# - energy relative to the elements (eV per formula unit) = -14.27
# - total energy after the MP2020 corrections (eV/cell) = -106.41

(3)
# PBE-GGA EuBi2BrO4, optimized geometry
data_EuBi2BrO4
_cell_length_a 3.9646
_cell_length_b 3.9646
_cell_length_c 9.4189
_cell_angle_alpha 90.00
_cell_angle_beta 90.00
_cell_angle_gamma 90.00
_symmetry_space_group_name_H-M 'P 4/m m m'
_symmetry_Int_Tables_number 123
_symmetry_space_group_name_Hall '-P 4 2'
loop_
_atom_site_label
_atom_site_fract_x
_atom_site_fract_y
_atom_site_fract_z
Eu1 0.0000 0.0000 0.0000
Bi1 0.5000 0.5000 0.2723
Br1 0.0000 0.0000 0.5000
O1 0.0000 0.5000 0.1553
# - DFT total energy (Ha/atom) = -0.2453
# - energy relative to the elements (eV per formula unit) = -16.67
# - total energy after the MP2020 corrections (eV/cell) = -56.14

(4)
# PBE-GGA GdCu4Au, optimized geometry
data_GdCu4Au
_cell_length_a 7.1412
_cell_length_b 7.1412
_cell_length_c 7.1412
_cell_angle_alpha 90.00
_cell_angle_beta 90.00
_cell_angle_gamma 90.00
_symmetry_space_group_name_H-M 'F -4 3 m'
_symmetry_Int_Tables_number 216
_symmetry_space_group_name_Hall 'F -4 2 3'
loop_
_atom_site_label
_atom_site_fract_x
_atom_site_fract_y
_atom_site_fract_z
Gd1 0.0000 0.0000 0.0000
Cu1 0.1240 0.1240 0.3760
Au1 0.2500 0.2500 0.7500
# - DFT total energy (Ha/atom) = -0.2184
# - energy relative to the elements (eV per formula unit) = -1.91

(5)
# PBE-GGA Sr2MgCuBr2O2, optimized geometry
data_Sr2MgCuBr2O2
_cell_length_a 3.7452
_cell_length_b 4.7843
_cell_length_c 11.6521
_cell_angle_alpha 81.72
_cell_angle_beta 80.80
_cell_angle_gamma 89.94
_symmetry_space_group_name_H-M 'P 1'
_symmetry_Int_Tables_number 1
loop_
_symmetry_equiv_pos_as_xyz
'x,y,z'
loop_
_atom_site_label
_atom_site_fract_x
_atom_site_fract_y
_atom_site_fract_z
Sr1 0.0000 0.0000 0.0000
Sr2 0.1519 0.0914 0.7085
Mg1 0.8626 0.4688 0.2788
Cu1 0.4502 0.4728 0.0986
Br1 0.3018 0.1906 0.4045
Br2 0.6958 0.6216 0.6233
O1 0.5706 0.0435 0.8606
O2 0.9479 0.4572 0.1038
# - DFT total energy (Ha/atom) = -0.1600
# - ΔE to the lowest computed polymorph (eV/f.u.) = 0.09
# - energy relative to the elements (eV per formula unit) = -13.96
# - total energy after the MP2020 corrections (eV/cell) = -36.21

(6)
# PBE-GGA LuTc2W, optimized geometry
data_LuTc2W
_cell_length_a 6.4454
_cell_length_b 6.4454
_cell_length_c 6.4454
_cell_angle_alpha 90.00
_cell_angle_beta 90.00
_cell_angle_gamma 90.00
_symmetry_space_group_name_H-M 'F m -3 m'
_symmetry_Int_Tables_number 225
_symmetry_space_group_name_Hall '-F 4 2 3'
loop_
_atom_site_label
_atom_site_fract_x
_atom_site_fract_y
_atom_site_fract_z
Lu1 0.0000 0.0000 0.0000
Tc1 0.2500 0.2500 0.2500
W1 0.0000 0.0000 0.5000
# - DFT total energy (Ha/atom) = -0.3542
# - energy relative to the elements (eV per formula unit) = -0.35

(7)
# PBE-GGA SiO2, optimized geometry
data_SiO2
_cell_length_a 5.0390
_cell_length_b 5.5194
_cell_length_c 6.2327
_cell_angle_alpha 89.30
_cell_angle_beta 89.84
_cell_angle_gamma 89.39
_symmetry_space_group_name_H-M 'P 1'
_symmetry_Int_Tables_number 1
loop_
_symmetry_equiv_pos_as_xyz
'x,y,z'
loop_
_atom_site_label
_atom_site_fract_x
_atom_site_fract_y
_atom_site_fract_z
Si1 0.0000 0.0000 0.0000
Si2 0.1385 0.2420 0.4104
Si3 0.2781 0.4927 0.9981
Si4 0.6373 0.2419 0.7083
O1 0.0238 0.0199 0.2617
O2 0.1299 0.2516 0.9142
O3 0.1448 0.7500 0.9282
O4 0.2591 0.4645 0.2602
O5 0.3916 0.1541 0.5561
O6 0.5613 0.4709 0.8682
O7 0.7148 0.0126 0.8724
O8 0.8792 0.3285 0.5489
# - DFT total energy (Ha/atom) = -0.2864
# - energy relative to the elements (eV per formula unit) = -9.44
# - largest piezoelectric modulus (C/m2) = 0.20
# - total energy after the MP2020 corrections (eV/cell) = -99.03

(8)
# PBE-GGA U3O8, optimized geometry
data_U3O8
_cell_length_a 4.1602
_cell_length_b 11.9588
_cell_length_c 6.7773
_cell_angle_alpha 90.00
_cell_angle_beta 90.00
_cell_angle_gamma 90.00
_symmetry_space_group_name_H-M 'A m m 2'
_symmetry_Int_Tables_number 38
loop_
_symmetry_equiv_pos_as_xyz
'x,y,z'
'-x,-y,z'
'-x,y,z'
'x,-y,z'
'x,y+1/2,z+1/2'
'-x,-y+1/2,z+1/2'
'-x,y+1/2,z+1/2'
'x,-y+1/2,z+1/2'
loop_
_atom_site_label
_atom_site_fract_x
_atom_site_fract_y
_atom_site_fract_z
U1 0.0000 0.0000 0.0000
U2 0.0000 0.1737 0.5328
O1 0.0000 0.0000 0.6192
O2 0.0000 0.1227 0.2336
O3 0.0000 0.1691 0.8569
O4 0.5000 0.0000 0.9922
O5 0.5000 0.1774 0.5356
# - DFT total energy (Ha/atom) = -0.3633
# - ΔE to the lowest computed polymorph (eV/f.u.) = 0.01
# - energy relative to the elements (eV per formula unit) = -40.77
# - total energy after the MP2020 corrections (eV/cell) = -228.45

(9)
# PBE-GGA SrSb12Ru4, optimized geometry
data_SrSb12Ru4
_cell_length_a 9.4137
_cell_length_b 9.4137
_cell_length_c 9.4137
_cell_angle_alpha 90.00
_cell_angle_beta 90.00
_cell_angle_gamma 90.00
_symmetry_space_group_name_H-M 'I m -3'
_symmetry_Int_Tables_number 204
_symmetry_space_group_name_Hall '-I 2 2 3'
loop_
_atom_site_label
_atom_site_fract_x
_atom_site_fract_y
_atom_site_fract_z
Sr1 0.0000 0.0000 0.0000
Sb1 0.0000 0.1594 0.3424
Ru1 0.2500 0.2500 0.2500
# - DFT total energy (Ha/atom) = -0.2022
# - energy relative to the elements (eV per formula unit) = -5.21

(10)
# PBE-GGA YHO2, optimized geometry
data_YHO2
_cell_length_a 3.5319
_cell_length_b 3.5319
_cell_length_c 9.2312
_cell_angle_alpha 90.00
_cell_angle_beta 90.00
_cell_angle_gamma 120.00
_symmetry_space_group_name_H-M 'P 63/m m c'
_symmetry_Int_Tables_number 194
_symmetry_space_group_name_Hall '-P 6c 2c'
loop_
_atom_site_label
_atom_site_fract_x
_atom_site_fract_y
_atom_site_fract_z
Y1 0.0000 0.0000 0.0000
H1 0.3333 0.6667 0.2500
O1 0.3333 0.6667 0.1173
# - DFT total energy (Ha/atom) = -0.2752
# - energy relative to the elements (eV per formula unit) = -11.58
# - total energy after the MP2020 corrections (eV/cell) = -62.67

(11)
# PBE-GGA Nd2Zn6Ge3, optimized geometry
data_Nd2Zn6Ge3
_cell_length_a 7.6831
_cell_length_b 7.6831
_cell_length_c 4.1111
_cell_angle_alpha 90.00
_cell_angle_beta 90.00
_cell_angle_gamma 120.00
_symmetry_space_group_name_H-M 'P -6 2 m'
_symmetry_Int_Tables_number 189
_symmetry_space_group_name_Hall 'P -6 -2'
loop_
_atom_site_label
_atom_site_fract_x
_atom_site_fract_y
_atom_site_fract_z
Nd1 0.3333 0.6667 0.0000
Zn1 0.0000 0.1897 0.0000
Zn2 0.0000 0.7125 0.5000
Ge1 0.0000 0.3831 0.5000
# - DFT total energy (Ha/atom) = -0.1189
# - energy relative to the elements (eV per formula unit) = -4.62

(12)
# PBE-GGA Sr6Nb2O11, optimized geometry
data_Sr6Nb2O11
_cell_length_a 5.9970
_cell_length_b 6.0194
_cell_length_c 19.8365
_cell_angle_alpha 97.35
_cell_angle_beta 90.40
_cell_angle_gamma 119.66
_symmetry_space_group_name_H-M 'P 1'
_symmetry_Int_Tables_number 1
loop_
_symmetry_equiv_pos_as_xyz
'x,y,z'
loop_
_atom_site_label
_atom_site_fract_x
_atom_site_fract_y
_atom_site_fract_z
Sr1 0.0000 0.0000 0.0000
Sr2 0.0067 0.8834 0.8023
Sr3 0.0594 0.0532 0.1789
Sr4 0.2454 0.3794 0.5778
Sr5 0.2964 0.6270 0.9524
Sr6 0.3193 0.5085 0.7607
Sr7 0.4474 0.7826 0.3074
Sr8 0.5449 0.9876 0.4938
Sr9 0.5680 0.0891 0.6734
Sr10 0.7424 0.3979 0.0804
Sr11 0.7967 0.4464 0.2603
Sr12 0.8393 0.6347 0.4545
Nb1 0.2019 0.2056 0.3802
Nb2 0.4015 0.7251 0.1289
Nb3 0.6476 0.2509 0.8768
Nb4 0.9149 0.7214 0.6284
O1 0.0108 0.1486 0.4598
O2 0.0158 0.8231 0.3495
O3 0.0995 0.2879 0.2984
O4 0.1221 0.0796 0.6843
O5 0.1510 0.7936 0.5517
O6 0.1553 0.6193 0.6702
O7 0.1639 0.3484 0.0941
O8 0.1791 0.7218 0.2056
O9 0.1880 0.8150 0.0694
O10 0.3112 0.0307 0.9174
O11 0.4212 0.5890 0.4139
O12 0.4762 0.9921 0.7955
O13 0.5268 0.1962 0.3812
O14 0.6125 0.7209 0.0483
O15 0.6143 0.6387 0.1925
O16 0.6344 0.5626 0.8729
O17 0.6569 0.1007 0.1642
O18 0.6647 0.3633 0.5739
O19 0.6937 0.8335 0.5815
O20 0.7006 0.5871 0.7074
O21 0.8267 0.2731 0.9630
O22 0.9830 0.3313 0.8389
# - DFT total energy (Ha/atom) = -0.2675
# - ΔE to the lowest computed polymorph (eV/f.u.) = 0.00
# - energy relative to the elements (eV per formula unit) = -61.09
# - total energy after the MP2020 corrections (eV/cell) = -291.71